Entry 1:
Mn7NiP12O48 after structural relaxation, computed with GGA+U.

Lattice parameters (Å, degrees): 8.4931 8.4973 11.8458 90.00 90.00 90.02
Space group P1 (No. 1)
Symmetry-distinct sites (fractional):
Mn 0.0000 0.0000 0.0000 (multiplicity 1)
Mn 0.9999 0.0694 0.5000 (multiplicity 1)
Mn 0.5001 0.9999 0.2639 (multiplicity 1)
Mn 0.5000 0.0695 0.7647 (multiplicity 1)
Mn 0.4995 0.5003 0.0000 (multiplicity 1)
Mn 0.9990 0.5005 0.2640 (multiplicity 1)
Mn 0.9995 0.5701 0.7651 (multiplicity 1)
Ni 0.4996 0.5709 0.4997 (multiplicity 1)
P 0.1424 0.6430 0.0276 (multiplicity 1)
P 0.1425 0.9268 0.7372 (multiplicity 1)
P 0.2129 0.7841 0.3817 (multiplicity 1)
P 0.2870 0.2855 0.3819 (multiplicity 1)
P 0.3565 0.4272 0.7366 (multiplicity 1)
P 0.3570 0.1431 0.0275 (multiplicity 1)
P 0.6414 0.9276 0.5282 (multiplicity 1)
P 0.6419 0.6439 0.2368 (multiplicity 1)
P 0.7128 0.7850 0.8822 (multiplicity 1)
P 0.7866 0.2848 0.8824 (multiplicity 1)
P 0.8573 0.1428 0.2368 (multiplicity 1)
P 0.8568 0.4279 0.5276 (multiplicity 1)
O 0.0695 0.5214 0.1099 (multiplicity 1)
O 0.0706 0.0478 0.6541 (multiplicity 1)
O 0.0905 0.5965 0.9089 (multiplicity 1)
O 0.0902 0.9737 0.8555 (multiplicity 1)
O 0.0958 0.7573 0.7065 (multiplicity 1)
O 0.0962 0.8125 0.0583 (multiplicity 1)
O 0.1006 0.8755 0.4617 (multiplicity 1)
O 0.1033 0.6939 0.2998 (multiplicity 1)
O 0.1753 0.1339 0.0409 (multiplicity 1)
O 0.1748 0.4354 0.7241 (multiplicity 1)
O 0.1902 0.1757 0.4582 (multiplicity 1)
O 0.1905 0.3938 0.3050 (multiplicity 1)
O 0.3038 0.6784 0.4617 (multiplicity 1)
O 0.3091 0.8939 0.3052 (multiplicity 1)
O 0.3240 0.6337 0.0412 (multiplicity 1)
O 0.3242 0.9360 0.7239 (multiplicity 1)
O 0.3957 0.1941 0.3003 (multiplicity 1)
O 0.3962 0.3713 0.4649 (multiplicity 1)
O 0.4018 0.2573 0.7065 (multiplicity 1)
O 0.4032 0.3127 0.0585 (multiplicity 1)
O 0.4083 0.4724 0.8559 (multiplicity 1)
O 0.4096 0.0965 0.9091 (multiplicity 1)
O 0.4291 0.0215 0.1100 (multiplicity 1)
O 0.4288 0.5501 0.6574 (multiplicity 1)
O 0.5695 0.0500 0.6102 (multiplicity 1)
O 0.5727 0.5219 0.1527 (multiplicity 1)
O 0.5892 0.9722 0.4090 (multiplicity 1)
O 0.5943 0.5932 0.3534 (multiplicity 1)
O 0.5960 0.8133 0.2051 (multiplicity 1)
O 0.5968 0.7609 0.5618 (multiplicity 1)
O 0.6026 0.6942 0.9631 (multiplicity 1)
O 0.6036 0.8761 0.8008 (multiplicity 1)
O 0.6754 0.1339 0.2243 (multiplicity 1)
O 0.6771 0.4305 0.5426 (multiplicity 1)
O 0.6905 0.1756 0.8056 (multiplicity 1)
O 0.6904 0.3942 0.9587 (multiplicity 1)
O 0.8088 0.6752 0.8057 (multiplicity 1)
O 0.8090 0.8941 0.9589 (multiplicity 1)
O 0.8234 0.9379 0.5406 (multiplicity 1)
O 0.8243 0.6344 0.2229 (multiplicity 1)
O 0.8962 0.1939 0.9636 (multiplicity 1)
O 0.8963 0.3758 0.8010 (multiplicity 1)
O 0.9031 0.3125 0.2060 (multiplicity 1)
O 0.9044 0.2579 0.5586 (multiplicity 1)
O 0.9098 0.0967 0.3554 (multiplicity 1)
O 0.9104 0.4732 0.4093 (multiplicity 1)
O 0.9291 0.0214 0.1543 (multiplicity 1)
O 0.9305 0.5488 0.6098 (multiplicity 1)

Entry 2:
MgCoO3 after structural relaxation, computed with GGA+U.

Lattice parameters (Å, degrees): 4.9259 4.9259 13.6169 90.00 90.00 120.00
Space group R-3 (No. 148, hexagonal axes)
Symmetry-distinct sites (fractional):
Mg 0.0000 0.0000 0.1396 (multiplicity 6)
Co 0.0000 0.0000 0.3396 (multiplicity 6)
O 0.0166 0.3806 0.9231 (multiplicity 18)

Entry 3:
Li5MnO4 after structural relaxation, computed with GGA+U.

Lattice parameters (Å, degrees): 12.8042 12.8042 4.7017 90.00 90.00 90.00
Space group P4_2/nmc (No. 137, origin choice 2)
Symmetry-distinct sites (fractional):
Li 0.0140 0.5140 0.2500 (multiplicity 8)
Li 0.1098 0.1432 0.1935 (multiplicity 16)
Li 0.1219 0.6219 0.7500 (multiplicity 8)
Li 0.2500 0.2500 0.1420 (multiplicity 4)
Li 0.2500 0.7500 0.2500 (multiplicity 2)
Li 0.2500 0.7500 0.7500 (multiplicity 2)
Mn 0.0212 0.7500 0.2874 (multiplicity 8)
O 0.0062 0.1250 0.4878 (multiplicity 16)
O 0.1262 0.7500 0.9983 (multiplicity 8)
O 0.1284 0.2500 0.9045 (multiplicity 8)

Polymorph energy (0 for the lowest one) ... 57 meV per atom

Entry 4:
MgV4O7F5 after structural relaxation, computed with GGA+U.

Lattice parameters (Å, degrees): 5.1707 5.3974 8.8909 106.79 90.54 117.80
Space group P1 (No. 1)
Symmetry-distinct sites (fractional):
Mg 0.0000 0.0000 0.0000 (multiplicity 1)
V 0.0183 0.0184 0.3496 (multiplicity 1)
V 0.3325 0.6384 0.0894 (multiplicity 1)
V 0.5305 0.1146 0.8349 (multiplicity 1)
V 0.7344 0.5389 0.5808 (multiplicity 1)
O 0.2203 0.8500 0.2768 (multiplicity 1)
O 0.2919 0.8382 0.9754 (multiplicity 1)
O 0.3327 0.3181 0.9263 (multiplicity 1)
O 0.3656 0.3463 0.5108 (multiplicity 1)
O 0.7310 0.3089 0.7174 (multiplicity 1)
O 0.7455 0.8466 0.1592 (multiplicity 1)
O 0.8217 0.8336 0.4690 (multiplicity 1)
F 0.1780 0.8124 0.6746 (multiplicity 1)
F 0.2457 0.3360 0.2096 (multiplicity 1)
F 0.7124 0.8234 0.7892 (multiplicity 1)
F 0.8553 0.3151 0.0206 (multiplicity 1)
F 0.8618 0.3246 0.4167 (multiplicity 1)

Polymorph energy (0 for the lowest one) ... 8 meV per atom

Entry 5:
Te15Mo2Cl12O2 after structural relaxation, computed with GGA+U.

Lattice parameters (Å, degrees): 8.1331 8.4252 14.8711 93.76 97.92 104.11
Space group P1 (No. 1)
Symmetry-distinct sites (fractional):
Te 0.0000 0.0000 0.0000 (multiplicity 1)
Te 0.0014 0.4783 0.5299 (multiplicity 1)
Te 0.1009 0.2593 0.1446 (multiplicity 1)
Te 0.1096 0.7566 0.6905 (multiplicity 1)
Te 0.2242 0.2968 0.6055 (multiplicity 1)
Te 0.2438 0.0960 0.8776 (multiplicity 1)
Te 0.3595 0.6365 0.8034 (multiplicity 1)
Te 0.4970 0.9987 0.0002 (multiplicity 1)
Te 0.5004 0.4760 0.5289 (multiplicity 1)
Te 0.5986 0.2581 0.1449 (multiplicity 1)
Te 0.6101 0.7532 0.6889 (multiplicity 1)
Te 0.7246 0.2968 0.6079 (multiplicity 1)
Te 0.7465 0.1051 0.8840 (multiplicity 1)
Te 0.8575 0.6361 0.8027 (multiplicity 1)
Te 0.8790 0.4364 0.0842 (multiplicity 1)
Mo 0.3445 0.8693 0.3406 (multiplicity 1)
Mo 0.8452 0.8680 0.3410 (multiplicity 1)
Cl 0.1261 0.5715 0.9263 (multiplicity 1)
Cl 0.2266 0.5770 0.3350 (multiplicity 1)
Cl 0.2564 0.8534 0.1786 (multiplicity 1)
Cl 0.3451 0.8824 0.5029 (multiplicity 1)
Cl 0.3748 0.1594 0.3470 (multiplicity 1)
Cl 0.4818 0.1687 0.7411 (multiplicity 1)
Cl 0.6203 0.5692 0.9259 (multiplicity 1)
Cl 0.7249 0.5756 0.3366 (multiplicity 1)
Cl 0.7529 0.8439 0.1808 (multiplicity 1)
Cl 0.8446 0.8805 0.5035 (multiplicity 1)
Cl 0.8746 0.1564 0.3504 (multiplicity 1)
Cl 0.9719 0.1690 0.7412 (multiplicity 1)
O 0.0595 0.8682 0.3412 (multiplicity 1)
O 0.5574 0.8686 0.3416 (multiplicity 1)

Entry 6:
YFeW2O8 after structural relaxation, computed with GGA+U.

Lattice parameters (Å, degrees): 5.9603 6.0188 9.8078 78.68 77.99 70.83
Space group P1 (No. 1)
Symmetry-distinct sites (fractional):
Y 0.0000 0.0000 0.0000 (multiplicity 1)
Y 0.4997 0.9998 0.4997 (multiplicity 1)
Fe 0.2222 0.5743 0.7548 (multiplicity 1)
Fe 0.7226 0.5719 0.2555 (multiplicity 1)
W 0.1285 0.6700 0.3839 (multiplicity 1)
W 0.3621 0.3386 0.1267 (multiplicity 1)
W 0.6286 0.6703 0.8838 (multiplicity 1)
W 0.8624 0.3376 0.6270 (multiplicity 1)
O 0.1128 0.6712 0.1695 (multiplicity 1)
O 0.1159 0.2226 0.1284 (multiplicity 1)
O 0.1187 0.0687 0.6121 (multiplicity 1)
O 0.1290 0.5294 0.5858 (multiplicity 1)
O 0.3731 0.3354 0.3269 (multiplicity 1)
O 0.3808 0.9459 0.8856 (multiplicity 1)
O 0.3840 0.4704 0.9267 (multiplicity 1)
O 0.4184 0.7697 0.3719 (multiplicity 1)
O 0.6130 0.6709 0.6695 (multiplicity 1)
O 0.6167 0.2216 0.6279 (multiplicity 1)
O 0.6185 0.0701 0.1115 (multiplicity 1)
O 0.6287 0.5307 0.0857 (multiplicity 1)
O 0.8730 0.3353 0.8271 (multiplicity 1)
O 0.8806 0.9455 0.3856 (multiplicity 1)
O 0.8840 0.4693 0.4270 (multiplicity 1)
O 0.9188 0.7698 0.8720 (multiplicity 1)

Polymorph energy (0 for the lowest one) ... 36 meV per atom
Piezoelectric modulus e_max ... 2.67 C/m2

Entry 7:
LiCaVF6 after structural relaxation, computed with GGA+U.

Lattice parameters (Å, degrees): 5.2090 5.2090 9.8965 90.00 90.00 120.00
Space group P-31c (No. 163)
Symmetry-distinct sites (fractional):
Li 0.3333 0.6667 0.2500 (multiplicity 2)
Ca 0.0000 0.0000 0.0000 (multiplicity 2)
V 0.3333 0.6667 0.7500 (multiplicity 2)
F 0.0137 0.3605 0.8620 (multiplicity 12)

Entry 8:
MgCd2W2O8 after structural relaxation, computed with GGA+U.

Lattice parameters (Å, degrees): 5.4239 5.5343 6.2592 84.18 79.08 79.37
Space group P1 (No. 1)
Symmetry-distinct sites (fractional):
Mg 0.0000 0.0000 0.0000 (multiplicity 1)
Cd 0.7585 0.6091 0.9121 (multiplicity 1)
Cd 0.7811 0.1409 0.5826 (multiplicity 1)
W 0.3177 0.6649 0.4860 (multiplicity 1)
W 0.3498 0.2031 0.2115 (multiplicity 1)
O 0.0588 0.8270 0.7283 (multiplicity 1)
O 0.1145 0.3157 0.0210 (multiplicity 1)
O 0.1230 0.3926 0.4715 (multiplicity 1)
O 0.1419 0.8970 0.2683 (multiplicity 1)
O 0.5098 0.9774 0.4354 (multiplicity 1)
O 0.5360 0.4803 0.2192 (multiplicity 1)
O 0.5528 0.5159 0.6635 (multiplicity 1)
O 0.6350 0.0408 0.9841 (multiplicity 1)

Polymorph energy (0 for the lowest one) ... 0 meV per atom

Entry 9:
Li4Nb2Co3Ni3O16 after structural relaxation, computed with GGA+U.

Lattice parameters (Å, degrees): 5.7898 5.8658 9.5185 91.63 90.29 119.43
Space group P1 (No. 1)
Symmetry-distinct sites (fractional):
Li 0.0000 0.0000 0.0000 (multiplicity 1)
Li 0.0005 0.0045 0.5001 (multiplicity 1)
Li 0.3417 0.6870 0.5941 (multiplicity 1)
Li 0.6681 0.3441 0.0974 (multiplicity 1)
Nb 0.3394 0.6706 0.9965 (multiplicity 1)
Nb 0.6775 0.3545 0.4984 (multiplicity 1)
Co 0.1698 0.8340 0.2769 (multiplicity 1)
Co 0.6631 0.8381 0.2787 (multiplicity 1)
Co 0.8319 0.6659 0.7768 (multiplicity 1)
Ni 0.1727 0.3459 0.2799 (multiplicity 1)
Ni 0.3399 0.1748 0.7779 (multiplicity 1)
Ni 0.8328 0.1754 0.7779 (multiplicity 1)
O 0.0379 0.5424 0.1571 (multiplicity 1)
O 0.1580 0.8270 0.8998 (multiplicity 1)
O 0.1598 0.3262 0.9048 (multiplicity 1)
O 0.3299 0.1604 0.4005 (multiplicity 1)
O 0.3448 0.7010 0.3804 (multiplicity 1)
O 0.4817 0.9705 0.1622 (multiplicity 1)
O 0.4931 0.5377 0.1551 (multiplicity 1)
O 0.5248 0.0500 0.6514 (multiplicity 1)
O 0.5321 0.5073 0.6500 (multiplicity 1)
O 0.6689 0.8294 0.8986 (multiplicity 1)
O 0.6793 0.3586 0.8774 (multiplicity 1)
O 0.8296 0.1637 0.4003 (multiplicity 1)
O 0.8395 0.6805 0.3880 (multiplicity 1)
O 0.9727 0.5078 0.6508 (multiplicity 1)
O 0.9915 0.9879 0.6892 (multiplicity 1)
O 0.9962 0.9862 0.1888 (multiplicity 1)

Entry 10:
CaCoMo2O7 after structural relaxation, computed with GGA+U.

Lattice parameters (Å, degrees): 7.1795 15.2965 11.6176 90.00 100.23 90.00
Space group P2_1/c (No. 14)
Symmetry-distinct sites (fractional):
Ca 0.0960 0.0176 0.2177 (multiplicity 4)
Ca 0.3051 0.1310 0.9732 (multiplicity 4)
Co 0.0082 0.7470 0.7515 (multiplicity 4)
Co 0.3452 0.6552 0.9132 (multiplicity 4)
Mo 0.1326 0.1367 0.5156 (multiplicity 4)
Mo 0.1697 0.6244 0.5146 (multiplicity 4)
Mo 0.4211 0.5273 0.1972 (multiplicity 4)
Mo 0.4955 0.7244 0.1984 (multiplicity 4)
O 0.0052 0.6507 0.3771 (multiplicity 4)
O 0.0136 0.6418 0.6271 (multiplicity 4)
O 0.0335 0.1352 0.3619 (multiplicity 4)
O 0.0517 0.6560 0.8981 (multiplicity 4)
O 0.2228 0.5073 0.5438 (multiplicity 4)
O 0.2393 0.0313 0.5510 (multiplicity 4)
O 0.2579 0.0030 0.7908 (multiplicity 4)
O 0.2684 0.2189 0.7956 (multiplicity 4)
O 0.3018 0.7410 0.7894 (multiplicity 4)
O 0.3123 0.2179 0.5441 (multiplicity 4)
O 0.3758 0.5468 0.8219 (multiplicity 4)
O 0.3992 0.6856 0.5541 (multiplicity 4)
O 0.4068 0.6282 0.0839 (multiplicity 4)
O 0.4148 0.1103 0.2021 (multiplicity 4)

Listing DFT formation energy for the structures above in their given order: -2.1349, -1.8374, -2.0024, -2.7147, -0.4713, -2.4364, -3.5661, -1.9930, -1.8609, -1.9434 eV/atom.